An optimized crystal structure of LaFeO3. Source: the Materials Project, functional GGA+U.

Results
energy of formation: -2825 meV/atom
symmetry: Pnma, No. 62

a = 5.601 Å, b = 5.662 Å, c = 7.945 Å
α = 90.00°, β = 90.00°, γ = 90.00°
Positions (direct):
La1 0.009 0.962 0.750
La2 0.509 0.538 0.250
La3 0.491 0.462 0.750
La4 0.991 0.038 0.250
Fe1 0.500 0.000 0.500
Fe2 0.000 0.500 0.500
Fe3 0.000 0.500 0.000
Fe4 0.500 0.000 0.000
O1 0.713 0.288 0.454
O2 0.213 0.212 0.546
O3 0.787 0.788 0.046
O4 0.287 0.712 0.954
O5 0.287 0.712 0.546
O6 0.787 0.788 0.454
O7 0.213 0.212 0.954
O8 0.713 0.288 0.046
O9 0.086 0.478 0.250
O10 0.586 0.022 0.750
O11 0.414 0.978 0.250
O12 0.914 0.522 0.750